1.
Density functional theory data (PBE) for a relaxed structure of Na4Ta2Si5Sn2SO24.

POSCAR file:
```
Na4Ta2Si5Sn2SO24
1.0
-5.0758 -5.2772 5.1579
0.4506 -1.4720 -8.8314
17.7283 -13.9017 3.3095
Na Ta Si Sn S O
12 6 15 6 3 72
Cartesian
1.6393 -8.3306 -4.6952
8.4156 -16.2035 4.4318
8.9253 -10.1540 0.4931
7.3440 -13.0131 -3.1790
1.5120 -1.7883 -2.5160
11.6529 -18.7794 2.1246
3.6919 -12.1415 6.7850
-4.5243 -6.6726 -3.6976
11.5891 -15.5434 3.2272
2.7196 -8.6224 1.5370
1.5744 -5.0559 -3.6975
10.4007 -11.9862 -2.0449
6.8423 -15.7133 -1.4983
8.9541 -13.5563 2.7438
0.0806 -6.6909 1.1800
5.2982 -10.5896 2.1020
4.0772 -7.1110 -3.0933
12.9488 -14.0023 -1.3718
3.4380 -6.4586 -6.5290
1.1486 -8.3153 -1.7292
4.4908 -3.9273 -1.7191
11.9641 -12.3690 1.5041
13.6452 -11.5113 -3.8006
10.1485 -15.5962 -2.7039
5.6287 -13.6474 3.8723
8.4587 -10.1516 3.5050
7.1907 -12.5494 -0.1022
-3.1244 -7.1538 -0.3496
-1.8856 -4.7178 3.3582
13.4092 -17.0323 0.3869
16.1973 -13.5481 -0.0159
4.6367 -10.5184 -3.8240
5.8901 -8.0887 -0.2090
6.2302 -4.8979 1.0905
10.0762 -17.0618 7.8880
-1.9248 -8.7617 -3.1203
14.0778 -17.7281 3.7425
-1.0527 -3.0653 -4.1106
7.7966 -9.9650 -2.4153
-0.2930 -3.6381 -0.6948
14.9575 -15.9060 -3.7019
7.4740 -6.9993 -4.2802
4.4268 -5.4642 1.7666
1.6330 -9.8409 -1.6381
0.6611 -9.4705 4.4292
13.3566 -12.5800 2.2638
9.8401 -17.5513 0.7109
10.0807 -15.6532 6.4829
8.6346 -15.2272 -2.1586
11.5173 -10.7866 1.3687
12.5450 -11.0447 -4.9423
-0.1180 -8.0188 -2.7044
3.2063 -3.1483 -1.0988
2.9442 -4.9851 -6.9723
7.1511 -14.0286 3.4060
8.8400 -11.7418 3.5019
8.3151 -12.9780 1.0090
-1.6875 -7.1654 0.4832
-0.6860 -5.5414 2.5696
0.0953 -4.9751 -0.1782
-1.6563 -3.2523 -0.2590
-3.6733 -5.6123 -0.4453
-3.0267 -4.2899 2.2582
7.0476 -10.0274 2.6511
6.0063 -11.7664 0.6819
5.2837 -12.1318 3.3632
14.8535 -17.4505 -0.1994
16.7372 -15.0916 -0.0386
16.0429 -16.3218 -2.7579
6.0940 -10.7546 -3.1178
7.1701 -8.8753 -0.8597
7.9188 -8.3418 -3.8151
6.1117 -6.6715 -3.7971
4.2145 -8.9236 -3.8572
4.8356 -7.6414 -1.3962
14.7612 -13.4324 -0.8672
13.8722 -15.1943 -3.0081
12.9954 -15.5535 -0.2596
7.5567 -7.0505 -5.7459
3.6042 -11.4688 -3.0167
6.5487 -6.8701 0.6271
16.1083 -13.1275 1.5463
15.6817 -15.0180 -4.6503
12.3650 -18.2256 -0.0475
5.6141 -13.5864 5.5350
9.5254 -9.2764 2.6317
6.5772 -13.8261 -0.9255
-3.0751 -7.6242 -1.8937
-2.7186 -5.7564 4.3220
0.6004 -2.5617 -0.2524
9.6856 -14.1826 4.4954
10.8367 -13.3120 2.1790
9.1301 -15.4876 2.1914
1.0187 -7.6908 -0.2273
0.1873 -8.1913 2.3514
1.8792 -6.1432 1.8309
13.3085 -16.8738 2.0285
12.0815 -17.8232 4.2395
13.9095 -15.5828 4.4241
4.3092 -9.5166 3.4134
5.0768 -9.1176 0.8132
3.2965 -11.2165 1.4149
-0.1817 -3.7378 -2.1846
0.9615 -2.7888 -4.5388
-0.6868 -4.9630 -4.7045
8.7824 -11.2048 -3.7726
8.0395 -11.6454 -1.1716
9.7220 -9.5767 -1.7502
3.3573 -6.5216 -4.8670
2.2686 -7.3788 -2.5454
3.9607 -5.2128 -2.5649
12.1064 -12.8069 -0.1069
12.8889 -12.4415 -2.6701
11.1936 -14.4741 -2.1583
```

Results
Total energy after the MP2020 corrections in eV per atom: -7.6904
Total magnetic moment in μB/cell: 0.0


2.
Density functional theory data (PBE) for a relaxed structure of Na10Ta4Si11Sn4SO48.

POSCAR file:
```
Na10Ta4Si11Sn4SO48
1.0
-0.8216 12.4932 12.9185
-3.2600 -8.2490 1.5065
20.4225 -6.6035 7.6413
Na Ta Si Sn S O
30 12 33 12 3 144
Cartesian
4.8386 2.3536 6.0491
1.1756 0.3496 14.0161
12.5613 0.0271 17.2723
13.7034 -1.7179 12.7023
9.6300 -9.4417 5.7317
8.5067 -7.6948 10.2313
8.0816 -1.4098 16.6795
-0.8164 -2.1579 6.0027
-1.2204 4.0839 12.4672
0.6394 -3.1015 1.3629
0.2366 3.1382 7.7996
15.7085 0.7648 20.7211
18.3161 -1.9549 11.5495
17.9001 4.3137 18.0445
7.0952 0.8133 9.8767
6.6784 7.0646 16.3359
6.0071 -3.8758 8.6974
5.5942 2.3620 15.1517
10.1813 -3.2770 3.8892
9.7941 3.0021 10.3459
-0.0168 0.0219 0.0852
-3.6671 -1.9425 8.0165
15.6390 -4.1435 11.1592
15.2370 2.1905 17.6104
5.3831 -0.8135 7.3615
4.9675 5.4341 13.8174
1.1543 -4.5066 4.4103
0.7560 1.7343 10.8674
11.3666 -7.8326 8.2889
10.8659 -1.6012 14.6632
13.7672 -7.6204 14.4876
9.5291 -6.2497 12.9029
12.2835 3.1500 16.5374
18.6211 -5.1118 12.2971
18.2508 1.1631 18.7251
8.4684 -1.7560 8.4544
8.0534 4.5057 14.8926
-1.9268 -3.5683 3.3189
-2.3237 2.6614 9.7597
8.3220 -6.8167 7.1280
7.9228 -0.6158 13.5373
13.8607 -2.5861 15.8217
2.5234 -3.0454 7.5327
2.1094 3.1978 13.9929
4.1380 -4.0751 2.3705
3.7267 2.1711 8.8299
13.8597 0.7423 14.4882
13.0000 -10.7629 6.8484
12.5859 -4.5893 13.2248
11.7775 -8.7639 11.7748
14.6073 5.7116 16.7940
10.4313 -0.6221 11.1656
10.0320 5.6333 17.6137
11.6239 -1.8967 6.9565
11.2154 4.3632 13.4044
9.6348 -4.8063 9.7041
9.2209 1.4209 16.1225
-0.7477 0.2668 7.7877
-1.1665 6.5224 14.2505
1.2897 3.2042 4.9831
0.8963 9.4579 11.4452
0.4893 -0.9157 3.5617
0.0866 5.3206 10.0159
16.2745 -7.6424 12.0043
15.8886 -1.4038 18.4552
17.4587 -8.8565 7.8744
17.0530 -2.6439 14.3201
15.4507 -11.9009 10.6109
15.0600 -5.6402 17.0313
5.1156 -6.7748 8.6051
4.7259 -0.5196 15.0578
7.1680 -3.7315 5.8933
6.7603 2.5002 12.3534
6.2971 -7.9940 4.5000
5.8727 -1.7491 10.9480
3.1463 1.8992 17.0864
3.5553 -4.3484 10.6287
13.3510 -1.3967 20.9396
9.1391 -0.0007 19.3601
2.1668 11.4900 14.0277
2.5794 5.2380 7.5588
12.6160 -3.0914 10.0664
2.3670 0.1602 6.3142
1.9637 6.4026 12.7744
4.1636 -5.4013 5.5335
3.7561 0.8451 11.9943
14.2986 -8.8510 9.4135
4.9875 0.1663 3.7921
4.5743 6.4139 10.2504
14.2437 -5.5374 8.0608
6.0080 -0.9122 3.7508
5.5954 5.3359 10.2124
3.4139 -3.3891 8.8722
3.0016 2.8584 15.3316
5.3409 2.5409 8.8384
4.9303 8.7862 15.2971
15.7133 -5.4774 7.8063
15.4533 0.7661 14.1422
13.4526 -5.9066 13.6635
13.1343 0.4012 20.0055
16.0336 -0.3959 11.5997
15.6660 5.7441 18.0293
10.6219 -7.5830 11.9471
10.2601 -1.3126 18.2727
13.4493 -5.2213 6.8361
13.0389 1.0480 13.1074
11.4089 -11.1370 6.7458
11.0067 -5.0228 13.2093
0.8934 -3.1552 7.7992
0.4781 3.0923 14.2597
3.1856 -2.7855 2.0107
2.7741 3.4639 8.4758
0.7810 -8.1429 4.1541
0.3664 -1.8982 10.6152
11.5569 -1.7836 11.1847
11.0919 4.3848 17.4836
12.4856 -2.1127 8.3081
11.9966 4.0454 14.8144
11.2087 -4.4727 9.6990
10.7973 1.8461 16.2262
0.8392 0.4702 7.5577
0.4160 6.7170 13.9909
2.2798 1.9636 5.3320
1.8638 8.2054 11.7875
1.4352 -0.9131 4.8758
1.0164 5.3383 11.3375
-0.6487 0.2615 3.7099
-1.0615 6.5063 10.1668
-1.5329 0.6255 6.3889
-1.9914 6.8813 12.8486
-0.3075 2.8076 4.9662
-0.7101 9.0491 11.4133
10.0191 -1.9084 7.3242
9.6124 4.3363 13.7812
8.6968 -3.5109 9.3136
8.3188 2.7586 15.7930
9.4224 -0.7283 9.8616
9.0103 5.5185 16.3247
17.3889 -8.8748 11.9590
16.9830 -2.6219 18.3861
18.3238 -9.2807 9.2118
17.8917 -3.0245 15.6769
17.0362 -11.4132 10.6213
16.6212 -5.1531 17.1234
6.7404 -6.6857 8.2965
6.3437 -0.4335 14.7664
8.0199 -5.1107 6.2531
7.6062 1.1323 12.7199
7.3812 -7.8475 5.7376
6.9258 -1.5780 12.2056
5.2726 -6.7406 4.4926
4.8513 -0.4931 10.9437
4.2083 -6.4403 7.3057
3.7963 -0.1944 13.7689
5.5959 -4.0899 5.9837
5.1811 2.1650 12.4475
15.8720 -9.0376 8.1210
15.4409 -2.6855 14.6572
14.5335 -10.5955 10.3691
14.1944 -4.2714 16.7178
15.2789 -7.7078 10.7444
14.8308 -1.5386 17.2127
5.6915 -9.5055 4.5266
5.2747 -3.2613 10.9864
4.9404 -5.7212 9.8595
4.5254 0.5230 16.3208
7.7324 -3.2731 4.4435
7.3197 2.9745 10.9060
18.0293 -7.4192 7.3526
17.5392 -1.1665 13.8053
15.3904 -13.0376 9.4440
14.9083 -6.8010 15.9225
15.4942 -7.8862 13.4415
15.1719 -1.6069 19.9139
11.1286 0.8576 11.0110
10.7268 7.0931 17.4701
11.8684 -2.8917 5.6919
11.5075 3.3005 12.2191
9.0533 -5.4260 11.1178
8.6043 0.9074 17.5595
-1.2433 -1.2270 8.1810
-1.6563 5.0209 14.6272
1.3385 4.4377 6.0832
0.9240 10.6830 12.5447
1.1837 -0.7981 2.0929
0.7705 5.4507 8.5506
14.3655 -2.0096 10.4706
13.9024 4.2401 16.8268
14.0206 -4.5520 9.1459
13.5265 1.7501 15.7287
13.2064 -3.9967 11.8404
12.6926 2.1925 18.2490
3.0744 -1.5832 7.0724
2.6629 4.6601 13.5327
3.7171 1.0545 7.6045
3.3067 7.3003 14.0629
4.3148 0.0172 5.1059
3.9017 6.2648 11.5668
17.0088 -6.1856 11.9881
16.5627 0.0907 18.4372
17.3779 -3.6820 13.0959
16.9791 2.5279 19.5867
18.2263 -4.1514 10.5795
17.7982 2.1475 17.0155
7.9181 0.0026 7.6642
7.5170 6.2547 14.1219
7.3150 -2.6172 7.0806
6.9148 3.6226 13.5418
6.7216 -1.5745 9.5278
6.3215 4.6689 15.9890
-0.2715 -2.3989 3.6326
-0.6873 3.8501 10.0921
-0.6339 -4.8391 2.4768
-1.0475 1.4033 8.9341
-1.4438 -4.3929 5.0706
-1.8563 1.8578 11.5306
8.7927 -8.6124 7.9866
8.3936 -2.3533 14.5167
9.3975 -6.0277 8.6059
9.0381 0.2039 15.0524
10.0504 -7.1078 6.0977
9.6207 -0.7740 12.5718
2.3220 -6.7225 5.2338
1.9078 -0.4753 11.6947
2.6838 -4.2288 6.3818
2.2711 2.0171 12.8414
3.5251 -4.6233 3.7764
3.1146 1.6258 10.2381
13.7936 -6.8825 8.4529
13.3748 -0.7735 14.9587
13.1111 -9.5441 7.9030
12.7643 -3.3838 14.3580
12.4996 -8.5138 10.3506
12.1631 -2.3141 16.8720
```

Results
Total energy after the MP2020 corrections in eV per atom: -7.6655
Total magnetic moment in μB/cell: 0.0


Asked for calculated formation energy across the records above, the calculation gives -2.7683 -2.8192 eV/atom in order.